1.
## Rb3ScF6 (r²SCAN)

Data for a geometry-optimized Rb3ScF6 structure.

Cell lengths 6.3808, 6.3808, 9.4276 Å; angles 90.00, 90.00, 90.00 degrees
Fractional coordinates of all 20 atoms:
Rb 0.0000 0.0000 0.0000
Rb 0.0000 0.5000 0.2500
Rb 0.0000 0.5000 0.7500
Rb 0.5000 0.0000 0.2500
Rb 0.5000 0.0000 0.7500
Rb 0.5000 0.5000 0.5000
Sc 0.0000 0.0000 0.5000
Sc 0.5000 0.5000 0.0000
F 0.0000 0.0000 0.2841
F 0.0000 0.0000 0.7159
F 0.1366 0.2860 0.5000
F 0.2140 0.3634 0.0000
F 0.2860 0.8634 0.5000
F 0.3634 0.7860 0.0000
F 0.5000 0.5000 0.2159
F 0.5000 0.5000 0.7841
F 0.6366 0.2140 0.0000
F 0.7140 0.1366 0.5000
F 0.7860 0.6366 0.0000
F 0.8634 0.7140 0.5000

The value obtained for the calculated total energy is -214.2 eV per cell. The formation energy is -3.513 eV/atom.

***

2.
## Rb3ScF6 (r²SCAN)

Data for a geometry-optimized Rb3ScF6 structure.

Cell lengths 6.5398, 6.5398, 6.5398 Å; angles 60.00, 60.00, 60.00 degrees
Fractional coordinates of all 10 atoms:
Rb 0.0000 0.0000 0.0000
Rb 0.2500 0.2500 0.2500
Rb 0.7500 0.7500 0.7500
Sc 0.5000 0.5000 0.5000
F 0.2820 0.2820 0.7180
F 0.2820 0.7180 0.2820
F 0.2820 0.7180 0.7180
F 0.7180 0.2820 0.2820
F 0.7180 0.2820 0.7180
F 0.7180 0.7180 0.2820

The value obtained for the calculated total energy is -106.8 eV per cell. The formation energy is -3.488 eV/atom.

***

3.
## Rb2TaF7 (r²SCAN)

Data for a geometry-optimized Rb2TaF7 structure.

Cell lengths 5.8237, 5.8890, 10.4652 Å; angles 90.00, 90.00, 90.00 degrees
Fractional coordinates of all 20 atoms:
Rb 0.2500 0.2500 0.0056
Rb 0.2500 0.7500 0.6376
Rb 0.7500 0.2500 0.3624
Rb 0.7500 0.7500 0.9944
Ta 0.2500 0.7500 0.2439
Ta 0.7500 0.2500 0.7561
F 0.0060 0.5340 0.2018
F 0.0060 0.9660 0.2018
F 0.2500 0.5469 0.3925
F 0.2500 0.7500 0.0508
F 0.2500 0.9531 0.3925
F 0.4940 0.5340 0.2018
F 0.4940 0.9660 0.2018
F 0.5060 0.0340 0.7982
F 0.5060 0.4660 0.7982
F 0.7500 0.0469 0.6075
F 0.7500 0.2500 0.9492
F 0.7500 0.4531 0.6075
F 0.9940 0.0340 0.7982
F 0.9940 0.4660 0.7982

The value obtained for the calculated total energy is -265.1 eV per cell. The formation energy is -3.419 eV/atom.

***

Number 1: total magnetic moment 0.00 μB per formula unit. Number 2: total magnetic moment 0.00 μB per formula unit. Number 3: total magnetic moment 0.00 μB per formula unit.